Density functional theory data (PBE+U) for Li4Mn2Co5O12 after structural relaxation.

E (MP2020)   -6.96 eV per atom
Electronic total energy   -0.2241 hartree per atom
Space group   P2_1, No. 4

Cell lengths 8.863, 5.007, 9.865 Å; angles 78.99, 90.00, 90.00 degrees
Fractional coordinates of all 46 atoms:
Li  0.913  0.001  0.739
Li  0.925  0.493  0.262
Li  0.580  0.758  0.505
Li  0.575  0.508  0.263
Li  0.413  0.999  0.261
Li  0.425  0.507  0.738
Li  0.080  0.242  0.495
Li  0.075  0.492  0.737
Mn  0.747  0.249  0.503
Mn  0.750  0.752  0.998
Mn  0.250  0.248  0.002
Mn  0.247  0.751  0.497
Co  0.920  0.257  0.003
Co  0.919  0.750  0.498
Co  0.750  0.995  0.259
Co  0.582  0.245  0.999
Co  0.737  0.507  0.739
Co  0.419  0.250  0.502
Co  0.420  0.743  0.997
Co  0.250  0.005  0.741
Co  0.237  0.493  0.261
Co  0.082  0.755  0.001
O  0.898  0.115  0.390
O  0.900  0.870  0.112
O  0.768  0.874  0.609
O  0.765  0.121  0.887
O  0.901  0.629  0.881
O  0.903  0.385  0.613
O  0.588  0.145  0.387
O  0.764  0.620  0.386
O  0.594  0.860  0.116
O  0.756  0.383  0.117
O  0.588  0.633  0.889
O  0.589  0.370  0.611
O  0.400  0.130  0.888
O  0.398  0.885  0.610
O  0.268  0.126  0.391
O  0.403  0.615  0.387
O  0.265  0.879  0.113
O  0.401  0.371  0.119
O  0.094  0.140  0.884
O  0.264  0.380  0.614
O  0.088  0.855  0.613
O  0.256  0.617  0.883
O  0.089  0.630  0.389
O  0.088  0.367  0.111

=====

Density functional theory data (PBE+U) for Li4MnCo2O7 after structural relaxation.

E (MP2020)   -6.49 eV per atom
Electronic total energy   -0.2129 hartree per atom
Space group   P-1, No. 2
Energy relative to the lowest polymorph listed for this composition   84 meV per atom

Cell lengths 3.016, 6.002, 14.267 Å; angles 82.96, 84.44, 84.78 degrees
Fractional coordinates of all 28 atoms:
Li  0.714  0.359  0.573
Li  0.286  0.641  0.427
Li  0.859  0.927  0.284
Li  0.141  0.073  0.716
Li  0.568  0.791  0.859
Li  0.000  0.500  0.000
Li  0.432  0.209  0.141
Li  0.000  0.000  0.000
Mn  0.713  0.852  0.573
Mn  0.287  0.148  0.427
Co  0.857  0.432  0.283
Co  0.432  0.725  0.137
Co  0.568  0.275  0.863
Co  0.143  0.568  0.717
O  0.188  0.608  0.579
O  0.757  0.898  0.433
O  0.330  0.194  0.288
O  0.612  0.332  0.727
O  0.050  0.055  0.857
O  0.491  0.741  0.013
O  0.907  0.479  0.148
O  0.243  0.102  0.567
O  0.812  0.392  0.421
O  0.388  0.668  0.273
O  0.670  0.806  0.712
O  0.093  0.521  0.852
O  0.509  0.259  0.987
O  0.950  0.945  0.143

=====

Density functional theory data (PBE+U) for Li4MnCo2O7 after structural relaxation.

E (MP2020)   -6.52 eV per atom
Electronic total energy   -0.2139 hartree per atom
Space group   Cm, No. 8
Energy relative to the lowest polymorph listed for this composition   57 meV per atom

Cell lengths 6.527, 6.527, 14.391 Å; angles 70.12, 70.12, 25.78 degrees
Fractional coordinates of all 28 atoms:
Li  0.276  0.276  0.077
Li  0.860  0.860  0.217
Li  0.435  0.435  0.346
Li  0.715  0.715  0.937
Li  0.140  0.140  0.792
Li  0.002  0.002  0.497
Li  0.570  0.570  0.642
Li  0.574  0.574  0.140
Mn  0.003  0.003  0.001
Mn  0.283  0.283  0.573
Co  0.138  0.138  0.274
Co  0.709  0.709  0.421
Co  0.860  0.860  0.719
Co  0.429  0.429  0.858
O  0.437  0.437  0.090
O  0.006  0.006  0.254
O  0.577  0.577  0.395
O  0.873  0.873  0.951
O  0.297  0.297  0.818
O  0.154  0.154  0.536
O  0.722  0.722  0.669
O  0.133  0.133  0.029
O  0.714  0.714  0.184
O  0.282  0.282  0.328
O  0.559  0.559  0.899
O  0.993  0.993  0.762
O  0.844  0.844  0.480
O  0.417  0.417  0.612

=====

Density functional theory data (PBE+U) for Li7Mn2Co3O12 after structural relaxation.

E (MP2020)   -6.57 eV per atom
Electronic total energy   -0.2162 hartree per atom
Space group   P-1, No. 2
Energy relative to the lowest polymorph listed for this composition   45 meV per atom

Cell lengths 5.148, 5.876, 7.664 Å; angles 100.43, 96.58, 107.27 degrees
Fractional coordinates of all 24 atoms:
Li  0.500  0.747  0.001
Li  0.510  0.092  0.340
Li  0.506  0.416  0.659
Li  0.500  0.253  0.999
Li  0.494  0.584  0.341
Li  0.490  0.908  0.660
Li  0.000  0.500  0.500
Mn  0.004  0.834  0.832
Mn  0.996  0.166  0.168
Co  0.995  0.337  0.820
Co  0.005  0.663  0.180
Co  0.000  0.000  0.500
O  0.778  0.562  0.917
O  0.768  0.886  0.246
O  0.765  0.209  0.597
O  0.782  0.040  0.925
O  0.768  0.359  0.236
O  0.775  0.732  0.594
O  0.218  0.960  0.075
O  0.225  0.268  0.406
O  0.232  0.641  0.764
O  0.222  0.438  0.083
O  0.235  0.791  0.403
O  0.232  0.114  0.754

=====

| no. | ΔE_f (eV/atom) |
| --- | --- |
| 1 | -1.702 |
| 2 | -1.800 |
| 3 | -1.827 |
| 4 | -1.889 |